DFT (GGA+U) results for NaNiPO4 after structural relaxation.

The structure belongs to space group Pnma (No. 62); the cell edges are 11.3823, 6.4584 and 4.6886 Å and the angles 90.00°, 90.00° and 90.00°. Symmetry generates all atoms from Na at (0.2222, 0.2500, 0.0232), Ni at (0.0000, 0.0000, 0.5000), P at (0.0795, 0.7500, 0.0946), O at (0.0465, 0.2500, 0.7550), O at (0.0717, 0.7500, 0.7638) and O at (0.1395, 0.5521, 0.2125).

The distance to the lowest polymorph of the same formula is 0.0000 eV/atom. As for the formation energy: -2309 meV/atom. The raw total energy comes out at -6.169 eV/atom.